First-principles (PBE) data for a relaxed structure of LaPt2, as listed in the Materials Project. Values from VASP.

Summary:
DFT total energy   -0.24875 Ha/atom
ΔH_f (0 K)   -1.08 eV/atom
V   20.29 Å³/atom
Theoretical density   14.43 g/cm3
Space group   Fd-3m (227)
Crystal system   cubic

The structure in Quantum ESPRESSO input format:
```
&SYSTEM
  ibrav = 0, nat = 6, ntyp = 2
/
ATOMIC_SPECIES
La 138.91 La.upf
Pt 195.08 Pt.upf
CELL_PARAMETERS angstrom
0.000 3.934 3.934
3.934 0.000 3.934
3.934 3.934 0.000
ATOMIC_POSITIONS angstrom
La 0.983 0.983 0.983
La 6.884 6.884 6.884
Pt 3.934 1.967 1.967
Pt 1.967 3.934 1.967
Pt 1.967 1.967 3.934
Pt 3.934 3.934 3.934
```

First-principles (PBE) data for a relaxed structure of La7Pt3, as listed in the Materials Project. Values from VASP.

Summary:
DFT total energy   -0.22256 Ha/atom
ΔH_f (0 K)   -0.78 eV/atom
V   30.76 Å³/atom
Theoretical density   8.41 g/cm3
Space group   P6_3mc (186)
Crystal system   hexagonal

The structure in Quantum ESPRESSO input format:
```
&SYSTEM
  ibrav = 0, nat = 20, ntyp = 2
/
ATOMIC_SPECIES
La 138.91 La.upf
Pt 195.08 Pt.upf
CELL_PARAMETERS angstrom
10.357 0.000 0.000
-5.178 8.969 0.000
0.000 0.000 6.623
ATOMIC_POSITIONS angstrom
La -1.995 4.828 0.000
La 0.000 2.257 4.550
La -3.223 7.841 4.550
La 1.955 1.129 1.239
La 0.000 5.980 3.149
La 1.995 4.828 0.000
La 0.000 8.283 0.000
La 5.178 0.686 3.311
La 3.184 4.141 3.311
La 5.178 2.990 6.460
La 3.223 7.841 4.550
La 8.402 1.129 1.239
La 5.178 6.712 1.239
La 7.173 4.141 3.311
Pt 0.000 3.377 1.639
Pt -2.253 7.281 1.639
Pt 2.925 1.689 4.951
Pt 2.253 7.281 1.639
Pt 7.432 1.689 4.951
Pt 5.178 5.592 4.951
```

First-principles (PBE) data for a relaxed structure of LaPt, as listed in the Materials Project. Values from VASP.

Summary:
DFT total energy   -0.24571 Ha/atom
ΔH_f (0 K)   -1.18 eV/atom
V   25.52 Å³/atom
Theoretical density   10.87 g/cm3
Space group   Cmcm (63)
Crystal system   orthorhombic

The structure in Quantum ESPRESSO input format:
```
&SYSTEM
  ibrav = 0, nat = 8, ntyp = 2
/
ATOMIC_SPECIES
La 138.91 La.upf
Pt 195.08 Pt.upf
CELL_PARAMETERS angstrom
3.990 0.000 0.000
0.000 11.124 0.000
0.000 0.000 4.599
ATOMIC_POSITIONS angstrom
La 0.000 1.514 1.150
La 0.000 9.609 3.449
La 1.995 4.048 3.449
La 1.995 7.076 1.150
Pt 0.000 4.545 1.150
Pt 0.000 6.579 3.449
Pt 1.995 1.017 3.449
Pt 1.995 10.107 1.150
```

First-principles (PBE) data for a relaxed structure of La3Pt4, as listed in the Materials Project. Values from VASP.

Summary:
DFT total energy   -0.24719 Ha/atom
ΔH_f (0 K)   -1.14 eV/atom
V   23.45 Å³/atom
Theoretical density   12.11 g/cm3
Space group   R-3 (148)
Crystal system   trigonal

The structure in Quantum ESPRESSO input format:
```
&SYSTEM
  ibrav = 0, nat = 14, ntyp = 2
/
ATOMIC_SPECIES
La 138.91 La.upf
Pt 195.08 Pt.upf
CELL_PARAMETERS angstrom
6.961 4.019 1.956
-6.961 4.019 1.956
0.000 -8.037 1.956
ATOMIC_POSITIONS angstrom
La -1.755 -2.008 1.401
La -0.861 2.524 1.401
La 2.616 -0.516 1.401
La -2.616 0.516 4.467
La 0.861 -2.524 4.467
La 1.755 2.008 4.467
Pt 0.000 0.000 0.000
Pt -3.437 0.671 1.630
Pt 1.138 -3.312 1.630
Pt -2.299 -2.642 4.238
Pt 0.000 0.000 2.934
Pt 2.299 2.642 1.630
Pt -1.138 3.312 4.238
Pt 3.437 -0.671 4.238
```

First-principles (PBE) data for a relaxed structure of La8Sb14Pt17, as listed in the Materials Project. Values from VASP.

Summary:
DFT total energy   -0.22225 Ha/atom
ΔH_f (0 K)   -0.91 eV/atom
V   22.67 Å³/atom
Theoretical density   11.52 g/cm3
Space group   I4cm (108)
Crystal system   tetragonal

The structure in Quantum ESPRESSO input format:
```
&SYSTEM
  ibrav = 0, nat = 78, ntyp = 3
/
ATOMIC_SPECIES
La 138.91 La.upf
Sb 121.76 Sb.upf
Pt 195.08 Pt.upf
CELL_PARAMETERS angstrom
-6.382 6.382 10.855
6.382 -6.382 10.855
6.382 6.382 -10.855
ATOMIC_POSITIONS angstrom
La 0.000 0.000 0.000
La -0.191 9.589 5.397
La 3.175 -0.191 5.397
La 3.198 3.183 0.084
La 3.198 -3.183 10.939
La 9.589 0.191 5.397
La 6.382 0.000 10.751
La 0.191 3.175 5.397
La 0.000 0.000 10.855
La 6.573 3.207 5.397
La 3.207 6.191 5.397
La 3.183 9.565 0.084
La 3.183 3.198 10.939
La 3.175 0.191 16.251
La 0.000 6.382 10.751
La -0.191 3.175 16.251
Sb 1.883 1.613 -2.681
Sb 4.769 -4.498 8.174
Sb 9.520 -0.093 1.336
Sb 3.244 0.093 1.336
Sb 0.000 0.000 4.333
Sb 6.382 0.000 4.880
Sb 4.769 4.498 -2.681
Sb 1.883 -1.613 8.174
Sb 7.618 -1.236 7.859
Sb 6.289 3.138 1.336
Sb -0.093 3.244 1.336
Sb 3.526 2.856 3.901
Sb 3.526 -2.856 14.756
Sb 5.146 1.236 7.859
Sb 4.498 7.995 -2.681
Sb 1.613 1.883 8.174
Sb 3.244 -0.093 12.191
Sb 3.138 6.475 1.336
Sb 0.000 0.000 15.188
Sb 0.000 6.382 4.880
Sb 1.613 10.880 -2.681
Sb 4.498 4.769 8.174
Sb -1.236 5.146 7.859
Sb 0.093 9.520 1.336
Sb 0.093 3.244 12.191
Sb 2.856 9.238 3.901
Sb 2.856 3.526 14.756
Sb 1.236 7.618 7.859
Pt -1.445 11.168 2.706
Pt 1.595 -1.445 2.706
Pt 9.379 2.997 -4.329
Pt 7.470 -1.088 2.709
Pt 2.997 3.385 -4.329
Pt 6.630 3.157 -1.246
Pt 6.630 -3.157 9.609
Pt 5.293 1.088 2.709
Pt 11.168 1.445 2.706
Pt 4.843 -1.539 7.929
Pt 1.445 1.595 2.706
Pt 8.176 1.795 2.797
Pt 0.000 0.000 7.044
Pt 3.157 6.133 -1.246
Pt 3.225 0.249 9.609
Pt 7.921 1.539 7.929
Pt 1.795 4.587 2.797
Pt 7.827 4.786 2.706
Pt 4.786 4.937 2.706
Pt 3.385 2.997 6.525
Pt -1.088 5.293 2.709
Pt -2.997 3.385 6.525
Pt 6.133 3.157 9.609
Pt -0.249 3.225 9.609
Pt 1.088 7.470 2.709
Pt 1.595 1.445 13.561
Pt 1.539 4.843 7.929
Pt -1.445 1.595 13.561
Pt 4.587 1.795 13.652
Pt 0.000 0.000 17.899
Pt -3.157 6.133 9.609
Pt 3.157 6.630 9.609
Pt -1.539 7.921 7.929
Pt -1.795 4.587 13.652
```

First-principles (PBE) data for a relaxed structure of LaSi2Pt2, as listed in the Materials Project. Values from VASP.

Summary:
DFT total energy   -0.24316 Ha/atom
ΔH_f (0 K)   -1.03 eV/atom
V   18.54 Å³/atom
Theoretical density   10.48 g/cm3
Space group   I4/mmm (139)
Crystal system   tetragonal

The structure in Quantum ESPRESSO input format:
```
&SYSTEM
  ibrav = 0, nat = 10, ntyp = 3
/
ATOMIC_SPECIES
La 138.91 La.upf
Si 28.09 Si.upf
Pt 195.08 Pt.upf
CELL_PARAMETERS angstrom
4.305 0.000 0.000
0.000 4.305 0.000
0.000 0.000 10.003
ATOMIC_POSITIONS angstrom
La 0.000 0.000 0.000
La 2.153 2.153 5.001
Si 0.000 0.000 3.774
Si 0.000 0.000 6.229
Si 2.153 2.153 1.228
Si 2.153 2.153 8.775
Pt 0.000 2.153 2.501
Pt 0.000 2.153 7.502
Pt 2.153 0.000 2.501
Pt 2.153 0.000 7.502
```

First-principles (PBE) data for a relaxed structure of LaSi2Pt2, as listed in the Materials Project. Values from VASP.

Summary:
DFT total energy   -0.24655 Ha/atom
ΔH_f (0 K)   -1.12 eV/atom
V   18.54 Å³/atom
Theoretical density   10.48 g/cm3
Space group   P4/nmm (129)
Crystal system   tetragonal

The structure in Quantum ESPRESSO input format:
```
&SYSTEM
  ibrav = 0, nat = 10, ntyp = 3
/
ATOMIC_SPECIES
La 138.91 La.upf
Si 28.09 Si.upf
Pt 195.08 Pt.upf
CELL_PARAMETERS angstrom
4.331 0.000 0.000
0.000 4.331 0.000
0.000 0.000 9.884
ATOMIC_POSITIONS angstrom
La 1.083 1.083 2.418
La 3.248 3.248 7.467
Si 1.083 1.083 6.224
Si 1.083 3.248 0.000
Si 3.248 1.083 0.000
Si 3.248 3.248 3.660
Pt 1.083 1.083 8.702
Pt 1.083 3.248 4.942
Pt 3.248 1.083 4.942
Pt 3.248 3.248 1.183
```

First-principles (PBE) data for a relaxed structure of LaSi2Pt2, as listed in the Materials Project. Values from VASP.

Summary:
DFT total energy   -0.24418 Ha/atom
ΔH_f (0 K)   -1.06 eV/atom
V   18.99 Å³/atom
Theoretical density   10.24 g/cm3
Space group   I4/mmm (139)
Crystal system   tetragonal

The structure in Quantum ESPRESSO input format:
```
&SYSTEM
  ibrav = 0, nat = 10, ntyp = 3
/
ATOMIC_SPECIES
La 138.91 La.upf
Si 28.09 Si.upf
Pt 195.08 Pt.upf
CELL_PARAMETERS angstrom
4.345 0.000 0.000
0.000 4.345 0.000
0.000 0.000 10.058
ATOMIC_POSITIONS angstrom
La 0.000 0.000 0.000
La 2.172 2.172 5.029
Si 0.000 2.172 2.515
Si 0.000 2.172 7.544
Si 2.172 0.000 2.515
Si 2.172 0.000 7.544
Pt 0.000 0.000 3.647
Pt 0.000 0.000 6.411
Pt 2.172 2.172 1.382
Pt 2.172 2.172 8.677
```

First-principles (PBE) data for a relaxed structure of LaSiPt3, as listed in the Materials Project. Values from VASP.

Summary:
DFT total energy   -0.25016 Ha/atom
ΔH_f (0 K)   -1.09 eV/atom
V   19.08 Å³/atom
Theoretical density   13.09 g/cm3
Space group   P4mm (99)
Crystal system   tetragonal

The structure in Quantum ESPRESSO input format:
```
&SYSTEM
  ibrav = 0, nat = 5, ntyp = 3
/
ATOMIC_SPECIES
La 138.91 La.upf
Si 28.09 Si.upf
Pt 195.08 Pt.upf
CELL_PARAMETERS angstrom
4.156 0.000 0.000
0.000 4.156 0.000
0.000 0.000 5.525
ATOMIC_POSITIONS angstrom
La 0.000 0.000 0.000
Si 2.078 2.078 1.617
Pt 0.000 2.078 2.839
Pt 2.078 0.000 2.839
Pt 2.078 2.078 4.814
```

First-principles (PBE) data for a relaxed structure of SrLaPt2, as listed in the Materials Project. Values from VASP.

Summary:
DFT total energy   -0.20684 Ha/atom
Excess energy over the best structure of this formula in the dataset   0.000 eV per atom
ΔH_f (0 K)   -0.94 eV/atom
V   24.53 Å³/atom
Theoretical density   10.44 g/cm3
Space group   Fm-3m (225)
Crystal system   cubic

The structure in Quantum ESPRESSO input format:
```
&SYSTEM
  ibrav = 0, nat = 16, ntyp = 3
/
ATOMIC_SPECIES
Sr 87.62 Sr.upf
La 138.91 La.upf
Pt 195.08 Pt.upf
CELL_PARAMETERS angstrom
7.322 0.000 0.000
0.000 7.322 0.000
0.000 0.000 7.322
ATOMIC_POSITIONS angstrom
Sr 0.000 0.000 0.000
Sr 0.000 3.661 3.661
Sr 3.661 0.000 3.661
Sr 3.661 3.661 0.000
La 0.000 0.000 3.661
La 0.000 3.661 0.000
La 3.661 0.000 0.000
La 3.661 3.661 3.661
Pt 1.830 1.830 1.830
Pt 1.830 1.830 5.491
Pt 1.830 5.491 1.830
Pt 1.830 5.491 5.491
Pt 5.491 1.830 1.830
Pt 5.491 1.830 5.491
Pt 5.491 5.491 1.830
Pt 5.491 5.491 5.491
```

First-principles (PBE) data for a relaxed structure of RbLaS2, as listed in the Materials Project. Values from VASP.

Summary:
DFT total energy   -0.19982 Ha/atom
ΔH_f (0 K)   -2.14 eV/atom
V   31.13 Å³/atom
Theoretical density   3.85 g/cm3
Space group   R-3m (166)
Crystal system   trigonal

The structure in Quantum ESPRESSO input format:
```
&SYSTEM
  ibrav = 0, nat = 12, ntyp = 3
/
ATOMIC_SPECIES
Rb 85.47 Rb.upf
La 138.91 La.upf
S 32.06 S.upf
CELL_PARAMETERS angstrom
4.326 0.000 0.000
-2.163 3.747 0.000
0.000 0.000 23.043
ATOMIC_POSITIONS angstrom
Rb 0.000 0.000 0.000
Rb 0.000 2.498 15.362
Rb 2.163 1.249 7.681
La 0.000 0.000 11.522
La 0.000 2.498 3.841
La 2.163 1.249 19.203
S 0.000 0.000 5.357
S 0.000 0.000 17.687
S 0.000 2.498 10.005
S 0.000 2.498 20.719
S 2.163 1.249 2.324
S 2.163 1.249 13.038
```

First-principles (PBE) data for a relaxed structure of LaRe2Si2, as listed in the Materials Project. Values from VASP.

Summary:
DFT total energy   -0.31892 Ha/atom
ΔH_f (0 K)   -0.51 eV/atom
V   18.75 Å³/atom
Theoretical density   10.05 g/cm3
Space group   Imma (74)
Crystal system   orthorhombic

The structure in Quantum ESPRESSO input format:
```
&SYSTEM
  ibrav = 0, nat = 10, ntyp = 3
/
ATOMIC_SPECIES
La 138.91 La.upf
Re 186.21 Re.upf
Si 28.09 Si.upf
CELL_PARAMETERS angstrom
-2.082 2.128 10.580
2.082 -2.128 10.580
2.082 2.128 -10.580
ATOMIC_POSITIONS angstrom
La 0.000 1.064 3.456
La 2.082 1.064 7.125
Re 2.082 -1.064 9.828
Re 2.082 1.064 0.819
Re 0.000 1.064 9.762
Re 0.000 3.192 0.752
Si 2.082 1.064 -4.688
Si 2.082 1.064 -2.196
Si 0.000 1.064 12.776
Si 0.000 1.064 15.269
```